A relaxed structure of Tm5Ni2Bi, computed with GGA-PBE.

```
Tm5Ni2Bi
1.0
-3.756 3.756 6.822
3.756 -3.756 6.822
3.756 3.756 -6.822
Tm Ni Bi
10 4 2
direct
0.000 0.000 0.000
0.500 0.500 0.000
0.790 0.290 0.813
0.210 0.710 0.187
0.477 0.977 0.187
0.290 0.477 0.500
0.023 0.210 0.500
0.523 0.023 0.813
0.710 0.523 0.500
0.977 0.790 0.500
0.131 0.631 0.762
0.869 0.369 0.238
0.631 0.869 0.500
0.369 0.131 0.500
0.250 0.250 0.000
0.750 0.750 0.000
```

Results
- Space group: I4/mcm, No. 140

=====

A relaxed structure of U3Ni3Bi4, computed with GGA-PBE.

```
U3Ni3Bi4
1.0
6.901 0.075 4.668
-6.254 -3.384 4.343
1.352 -4.495 -6.884
U Ni Bi
6 6 8
direct
0.125 0.875 0.250
0.375 0.625 0.750
0.875 0.250 0.125
0.625 0.750 0.375
0.250 0.125 0.875
0.750 0.375 0.625
0.625 0.375 0.250
0.875 0.125 0.750
0.375 0.250 0.625
0.125 0.750 0.875
0.250 0.625 0.375
0.750 0.875 0.125
0.334 0.334 0.334
0.166 0.500 0.000
0.000 0.166 0.500
0.834 0.834 0.834
0.500 0.000 0.166
0.666 0.500 0.000
0.500 0.000 0.666
0.000 0.666 0.500
```

Results
- Space group: I-43d, No. 220

=====

A relaxed structure of Y5Ni2Bi, computed with GGA-PBE.

```
Y5Ni2Bi
1.0
-3.857 3.857 6.827
3.857 -3.857 6.827
3.857 3.857 -6.827
Y Ni Bi
10 4 2
direct
0.000 0.000 0.000
0.500 0.500 0.000
0.019 0.519 0.810
0.709 0.209 0.190
0.519 0.709 0.500
0.209 0.019 0.500
0.981 0.481 0.190
0.291 0.791 0.810
0.481 0.291 0.500
0.791 0.981 0.500
0.368 0.868 0.236
0.632 0.132 0.764
0.868 0.632 0.500
0.132 0.368 0.500
0.750 0.750 0.000
0.250 0.250 0.000
```

Results
- Space group: I4/mcm, No. 140

=====

A relaxed structure of ZrNiBi, computed with GGA-PBE.

```
ZrNiBi
1.0
0.794 0.221 4.372
2.526 3.275 1.639
-1.851 3.230 2.436
Zr Ni Bi
1 1 1
direct
0.000 0.000 0.000
0.750 0.750 0.750
0.500 0.500 0.500
```

Results
- Space group: F-43m, No. 216

=====

A relaxed structure of Zr6NiBi2, computed with GGA-PBE.

```
Zr6NiBi2
1.0
-1.269 -0.097 -3.492
-1.791 7.718 0.437
7.165 -2.272 -2.542
Zr Ni Bi
6 1 2
direct
0.500 0.763 0.763
0.500 0.000 0.237
0.500 0.237 0.000
0.000 0.395 0.395
0.000 0.000 0.605
0.000 0.605 0.000
0.000 0.000 0.000
0.500 0.667 0.333
0.500 0.333 0.667
```

Results
- Space group: P-62m, No. 189

=====

A relaxed structure of Bi2O3, computed with GGA-PBE.

```
Bi2O3
1.0
3.769 0.000 0.000
-1.703 3.539 0.000
-1.498 -1.098 20.382
Bi O
6 9
direct
0.923 0.942 0.004
0.421 0.442 0.498
0.378 0.097 0.836
0.006 0.446 0.673
0.056 0.818 0.334
0.443 0.617 0.159
0.834 0.908 0.893
0.090 0.512 0.788
0.351 0.106 0.683
0.889 0.280 0.559
0.134 0.870 0.450
0.395 0.469 0.341
0.030 0.805 0.220
0.666 0.151 0.108
0.258 0.578 0.995
```

Results
- Space group: P1, No. 1

=====

A relaxed structure of Bi2O3, computed with GGA-PBE.

```
Bi2O3
1.0
3.741 0.000 0.000
-1.771 3.573 0.000
-0.025 -2.235 6.936
Bi O
2 3
direct
0.988 0.959 0.987
0.566 0.571 0.508
0.685 0.463 0.843
0.901 0.212 0.528
0.467 0.716 0.161
```

Results
- Space group: P1, No. 1

=====

A relaxed structure of BiO2, computed with GGA-PBE.

```
BiO2
1.0
-3.563 3.662 3.662
3.563 -3.662 3.662
3.563 3.662 -3.662
Bi O
4 8
direct
0.500 0.250 0.250
0.500 0.750 0.750
0.000 0.000 0.500
0.000 0.500 0.000
0.307 0.000 0.807
0.193 0.443 0.750
0.307 0.500 0.307
0.807 0.057 0.750
0.193 0.943 0.250
0.807 0.557 0.250
0.693 0.500 0.693
0.693 0.000 0.193
```

Results
- ΔE to the lowest computed polymorph: 1.8 kJ/mol of atoms

=====

A relaxed structure of Bi2O3, computed with GGA-PBE.

```
Bi2O3
1.0
-1.987 -1.373 3.168
1.220 0.576 3.748
-3.893 5.588 2.752
Bi O
2 3
direct
0.014 0.014 0.015
0.472 0.472 0.512
0.569 0.569 0.168
0.806 0.806 0.501
0.343 0.343 0.849
```

Results
- Space group: Cm, No. 8

=====

A relaxed structure of Bi2O3, computed with GGA-PBE.

```
Bi2O3
1.0
6.909 0.000 0.000
-2.738 7.153 0.000
-0.002 -2.578 7.748
Bi O
8 12
direct
0.801 0.911 0.882
0.175 0.080 0.620
0.038 0.523 0.486
0.585 0.919 0.407
0.820 0.443 0.936
0.282 0.967 0.086
0.551 0.501 0.554
0.361 0.491 0.058
0.397 0.605 0.349
0.816 0.851 0.586
0.382 0.885 0.661
0.478 0.356 0.779
0.476 0.969 0.844
0.163 0.308 0.501
0.624 0.764 0.115
0.709 0.336 0.379
0.165 0.647 0.019
0.890 0.567 0.729
0.265 0.945 0.368
0.957 0.224 0.896
```

Results
- Space group: P1, No. 1

=====

A relaxed structure of Bi2O3, computed with GGA-PBE.

```
Bi2O3
1.0
0.633 -8.803 -3.182
-1.780 -0.124 9.211
-6.948 4.448 -4.468
Bi O
12 18
direct
0.085 0.492 0.282
0.593 0.790 0.508
0.197 0.407 0.915
0.803 0.718 0.210
0.492 0.282 0.085
0.915 0.197 0.407
0.407 0.915 0.197
0.508 0.593 0.790
0.210 0.803 0.718
0.282 0.085 0.492
0.790 0.508 0.593
0.718 0.210 0.803
0.231 0.000 0.231
0.402 0.072 0.831
0.072 0.831 0.402
0.769 0.769 0.000
0.769 0.000 0.769
0.928 0.330 0.760
0.000 0.769 0.769
0.670 0.598 0.430
0.570 0.169 0.240
0.430 0.670 0.598
0.598 0.430 0.670
0.240 0.570 0.169
0.231 0.231 0.000
0.000 0.231 0.231
0.330 0.760 0.928
0.831 0.402 0.072
0.760 0.928 0.330
0.169 0.240 0.570
```

Results
- Space group: I23, No. 197

=====

A relaxed structure of BiO2, computed with GGA-PBE.

```
BiO2
1.0
8.374 -1.874 1.278
3.127 -6.070 5.353
-4.729 2.524 -6.822
Bi O
4 8
direct
0.106 0.388 0.718
0.329 0.112 0.218
0.671 0.888 0.782
0.894 0.612 0.282
0.963 0.250 0.713
0.978 0.087 0.891
0.196 0.587 0.609
0.463 0.250 0.213
0.037 0.750 0.287
0.022 0.913 0.109
0.804 0.413 0.391
0.537 0.750 0.787
```

Results
- ΔE to the lowest computed polymorph: 40.2 kJ/mol of atoms
- Space group: Ibam, No. 72

=====

A relaxed structure of Bi2O3, computed with GGA-PBE.

```
Bi2O3
1.0
1.399 3.140 -4.904
-1.741 5.730 0.011
4.376 4.034 0.670
Bi O
4 6
direct
0.864 0.864 0.864
0.636 0.636 0.636
0.364 0.364 0.364
0.136 0.136 0.136
0.505 0.995 0.250
0.250 0.505 0.995
0.995 0.250 0.505
0.005 0.750 0.495
0.750 0.495 0.005
0.495 0.005 0.750
```

Results
- Space group: R-3c, No. 167

=====

A relaxed structure of BiO2, computed with GGA-PBE.

```
BiO2
1.0
-6.082 -0.015 1.013
1.883 -5.600 -1.791
6.280 -3.204 21.129
Bi O
16 32
direct
0.771 0.361 0.125
0.454 0.309 0.263
0.264 0.854 0.124
0.686 0.315 0.503
0.111 0.273 0.384
0.849 0.893 0.244
0.315 0.927 0.746
0.607 0.772 0.383
0.754 0.868 0.626
0.179 0.825 0.505
0.253 0.371 0.625
0.875 0.995 0.873
0.375 0.500 0.873
0.826 0.424 0.746
0.039 0.455 0.992
0.483 0.000 0.981
0.365 0.692 0.047
0.128 0.542 0.169
0.856 0.184 0.047
0.915 0.648 0.062
0.623 0.059 0.181
0.754 0.625 0.316
0.654 0.556 0.186
0.489 0.453 0.429
0.189 0.063 0.315
0.414 0.164 0.077
0.288 0.540 0.322
0.129 0.032 0.185
0.354 0.181 0.547
0.961 0.960 0.436
0.021 0.482 0.452
0.119 0.036 0.673
0.876 0.691 0.555
0.732 0.085 0.332
0.871 0.181 0.582
0.467 0.942 0.447
0.643 0.546 0.670
0.996 0.787 0.788
0.633 0.050 0.697
0.660 0.777 0.939
0.495 0.291 0.784
0.395 0.708 0.576
0.496 0.830 0.822
0.148 0.566 0.700
0.207 0.247 0.948
0.165 0.683 0.924
0.009 0.301 0.814
0.742 0.260 0.925
```

Results
- ΔE to the lowest computed polymorph: 8.3 kJ/mol of atoms
- Space group: P1, No. 1

=====

A relaxed structure of Bi13O20, computed with GGA-PBE.

```
Bi13O20
1.0
-1.085 1.822 8.803
-8.100 -1.277 -3.838
4.999 -7.491 -0.938
Bi O
13 20
direct
0.194 0.337 0.499
0.337 0.499 0.194
0.499 0.194 0.337
0.000 0.000 0.000
0.501 0.838 0.695
0.838 0.695 0.501
0.695 0.501 0.838
0.663 0.857 0.162
0.857 0.162 0.663
0.162 0.663 0.857
0.143 0.806 0.305
0.806 0.305 0.143
0.305 0.143 0.806
0.254 0.629 0.363
0.000 0.239 0.000
0.000 0.000 0.239
0.109 0.375 0.746
0.000 0.000 0.626
0.000 0.626 0.000
0.371 0.625 0.734
0.266 0.891 0.637
0.363 0.254 0.629
0.239 0.000 0.000
0.375 0.746 0.109
0.626 0.000 0.000
0.625 0.734 0.371
0.637 0.266 0.891
0.629 0.363 0.254
0.746 0.109 0.375
0.734 0.371 0.625
0.891 0.637 0.266
0.374 0.374 0.374
0.761 0.761 0.761
```

Results
- Space group: I23, No. 197

=====

A relaxed structure of BiO2, computed with GGA-PBE.

```
BiO2
1.0
6.987 0.000 0.000
-3.479 6.213 0.000
-0.339 -0.303 16.582
Bi O
12 24
direct
0.346 0.669 0.834
0.504 0.005 0.502
0.153 0.806 0.668
0.360 0.210 0.838
0.002 0.000 0.501
0.832 0.668 0.831
0.838 0.186 0.333
0.002 0.500 0.500
0.665 0.331 0.166
0.665 0.834 0.166
0.165 0.333 0.162
0.154 0.826 0.048
0.689 0.384 0.893
0.667 0.815 0.890
0.502 0.505 0.764
0.209 0.381 0.894
0.291 0.672 0.582
0.434 0.927 0.750
0.159 0.795 0.903
0.026 0.548 0.756
0.288 0.085 0.597
0.149 0.796 0.438
0.881 0.672 0.578
0.996 0.927 0.749
0.976 0.052 0.253
0.115 0.325 0.421
0.858 0.205 0.564
0.697 0.914 0.413
0.803 0.175 0.099
0.959 0.446 0.248
0.560 0.054 0.249
0.705 0.323 0.421
0.833 0.642 0.107
0.348 0.158 0.103
0.511 0.488 0.224
0.324 0.677 0.098
```

Results
- ΔE to the lowest computed polymorph: 16.8 kJ/mol of atoms
- Space group: P1, No. 1

=====

no.,energy of formation from the pure elements (kJ/mol of atoms)
1,-45.5
2,-13.2
3,-44.3
4,-29.7
5,-35.6
6,-147.1
7,-70.9
8,-139.1
9,-147.7
10,-98.6
11,-131.8
12,-100.6
13,-155.6
14,-132.6
15,-154.0
16,-124.1